a) ## V3CoSn2P6O24 (PBE+U)

Data for an optimized crystal structure of V3CoSn2P6O24.

Cell: 8.9469 8.9469 8.9469 Å, 57.22 57.22 57.22°
Fractional coordinates of all 36 atoms:
O1 0.4393 0.2210 0.5737
O2 0.0579 0.9247 0.2790
O3 0.7792 0.4237 0.5660
O4 0.4237 0.5660 0.7792
O5 0.9851 0.2201 0.3690
O6 0.7846 0.6302 0.0070
O7 0.2841 0.5068 0.1296
O8 0.2210 0.5737 0.4393
O9 0.8731 0.7082 0.4970
O10 0.2201 0.3690 0.9851
O11 0.7206 0.9364 0.0765
O12 0.2790 0.0579 0.9247
O13 0.5737 0.4393 0.2210
O14 0.1296 0.2841 0.5068
O15 0.5660 0.7792 0.4237
O16 0.3690 0.9851 0.2201
O17 0.0765 0.7206 0.9364
O18 0.9364 0.0765 0.7206
O19 0.5068 0.1296 0.2841
O20 0.7082 0.4970 0.8731
O21 0.4970 0.8731 0.7082
O22 0.0070 0.7846 0.6302
O23 0.6302 0.0070 0.7846
O24 0.9247 0.2790 0.0579
Sn1 0.4999 0.4999 0.4999
Sn2 0.0086 0.0086 0.0086
P1 0.7495 0.4646 0.0365
P2 0.5336 0.9638 0.2487
P3 0.9638 0.2487 0.5336
P4 0.2487 0.5336 0.9638
P5 0.4646 0.0365 0.7495
P6 0.0365 0.7495 0.4646
V1 0.6473 0.6473 0.6473
V2 0.8546 0.8546 0.8546
V3 0.3513 0.3513 0.3513
Co1 0.1486 0.1486 0.1486

Computed properties:
For the total magnetization, the calculation gives 6.01 Bohr magnetons per cell. As for the space group: R3 (146).

=====

b) ## V3CoSn2P6O24 (PBE+U)

Data for an optimized crystal structure of V3CoSn2P6O24.

Cell: 9.1215 8.4529 8.4617 Å, 60.20 62.10 62.06°
Fractional coordinates of all 36 atoms:
P1 0.7532 0.7443 0.4697
P2 0.2546 0.5360 0.9583
P3 0.2535 0.2500 0.5345
P4 0.2547 0.9562 0.2512
P5 0.7524 0.4708 0.0340
P6 0.7490 0.0336 0.7471
Sn1 0.9357 0.0215 0.0218
Sn2 0.5365 0.4950 0.4841
V1 0.0610 0.6449 0.6468
V2 0.4403 0.8509 0.8544
V3 0.9615 0.3453 0.3468
O1 0.9213 0.8809 0.6946
O2 0.2874 0.9674 0.0500
O3 0.2967 0.6976 0.9556
O4 0.7312 0.9387 0.3000
O5 0.7326 0.2996 0.0310
O6 0.0782 0.2781 0.5140
O7 0.2100 0.7712 0.4035
O8 0.5891 0.0073 0.7547
O9 0.2916 0.0529 0.6932
O10 0.4016 0.2758 0.3479
O11 0.7721 0.4139 0.2319
O12 0.2129 0.4064 0.6083
O13 0.7659 0.2306 0.5854
O14 0.4069 0.3537 0.9661
O15 0.4048 0.9631 0.2766
O16 0.9246 0.6919 0.5016
O17 0.9241 0.5034 0.8825
O18 0.7733 0.5827 0.4122
O19 0.5930 0.7455 0.6468
O20 0.2140 0.6133 0.7701
O21 0.7262 0.0324 0.9417
O22 0.0814 0.1303 0.2807
O23 0.0838 0.5141 0.1304
O24 0.5899 0.6474 0.0184
Co1 0.5351 0.1534 0.1541

Computed properties:
For the total magnetization, the calculation gives 2.24 Bohr magnetons per cell. As for the space group: P1 (1).

=====

Which structure is most stable? a), by 1.5 kJ/mol of atoms over the runner-up.